No. 1
VASP calculation (PBE) on a relaxed structure of Cs2LiDyCl6.

Unit cell a=10.621 b=10.621 c=10.621 alpha=90.00 beta=90.00 gamma=90.00
Space group Fm-3m (No. 225)
Unique sites:
Cs1 0.250 0.250 0.250
Li1 0.000 0.000 0.000
Dy1 0.000 0.000 0.500
Cl1 0.000 0.000 0.251

Results
M_tot, μB per formula unit: 0.0
Calculated formation energy, eV/atom: -2.491
Final energy, eV per cell: -162.5
Corrected total energy (MP2020 scheme), eV per atom: -4.43

No. 2
VASP calculation (PBE) on a relaxed structure of Mg2PtRh.

Unit cell a=6.282 b=6.282 c=6.282 alpha=90.00 beta=90.00 gamma=90.00
Space group Fm-3m (No. 225)
Unique sites:
Mg1 0.250 0.250 0.250
Pt1 0.000 0.000 0.000
Rh1 0.000 0.000 0.500

Results
Calculated formation energy, eV/atom: -0.703
Final energy, eV per cell: -77.8

No. 3
VASP calculation (PBE) on a relaxed structure of Na2LaCuCl6.

Unit cell a=10.521 b=10.521 c=10.521 alpha=90.00 beta=90.00 gamma=90.00
Space group Fm-3m (No. 225)
Unique sites:
Na1 0.250 0.250 0.250
La1 0.000 0.000 0.000
Cu1 0.000 0.000 0.500
Cl1 0.000 0.000 0.262

Results
M_tot, μB per formula unit: 0.0
Calculated formation energy, eV/atom: -1.923
Final energy, eV per cell: -153.3
Corrected total energy (MP2020 scheme), eV per atom: -4.20